Entry 1:
Density functional theory data (PBE) for a relaxed LaAs2Pd3 crystal.

Cell and atoms, written as CIF:
```
data_LaAs2Pd3
_space_group_name_H-M_alt 'C 1 2/m 1'
_space_group_IT_number 12
_cell_length_a 16.913
_cell_length_b 4.200
_cell_length_c 10.139
_cell_angle_alpha 90.00
_cell_angle_beta 108.25
_cell_angle_gamma 90.00
loop_
_space_group_symop_operation_xyz
'x,y,z'
'-x,-y,-z'
'-x,y,-z'
'x,-y,z'
'x+1/2,y+1/2,z'
'-x+1/2,-y+1/2,-z'
'-x+1/2,y+1/2,-z'
'x+1/2,-y+1/2,z'
loop_
_atom_site_label
_atom_site_fract_x
_atom_site_fract_y
_atom_site_fract_z
La1 0.000 0.000 0.000
La2 0.155 0.000 0.701
As1 0.038 0.500 0.784
As2 0.136 0.500 0.452
As3 0.199 0.000 0.130
Pd1 0.000 0.500 0.500
Pd2 0.043 0.000 0.333
Pd3 0.123 0.500 0.200
Pd4 0.180 0.500 0.968
Pd5 0.220 0.000 0.392
```


Entry 2:
Density functional theory data (PBE) for a relaxed Sr2MgTlCuO5 crystal.

Cell and atoms, written as CIF:
```
data_Sr2MgTlCuO5
_space_group_name_H-M_alt 'P 4/m m m'
_space_group_IT_number 123
_space_group_name_Hall '-P 4 2'
_cell_length_a 3.843
_cell_length_b 3.843
_cell_length_c 12.268
_cell_angle_alpha 90.00
_cell_angle_beta 90.00
_cell_angle_gamma 90.00
loop_
_atom_site_label
_atom_site_fract_x
_atom_site_fract_y
_atom_site_fract_z
Sr1 0.000 0.000 0.195
Mg1 0.000 0.000 0.500
Tl1 0.500 0.500 0.000
Cu1 0.500 0.500 0.500
O1 0.000 0.000 0.000
O2 0.000 0.500 0.500
O3 0.500 0.500 0.191
```


Entry 3:
Density functional theory data (PBE) for a relaxed Ca3Hg crystal.

Cell and atoms, written as CIF:
```
data_Ca3Hg
_space_group_name_H-M_alt 'P n m a'
_space_group_IT_number 62
_cell_length_a 7.971
_cell_length_b 10.292
_cell_length_c 6.948
_cell_angle_alpha 90.00
_cell_angle_beta 90.00
_cell_angle_gamma 90.00
loop_
_space_group_symop_operation_xyz
'x,y,z'
'-x,-y,-z'
'-x+1/2,-y,z+1/2'
'x+1/2,y,-z+1/2'
'x+1/2,-y+1/2,-z+1/2'
'-x+1/2,y+1/2,z+1/2'
'-x,y+1/2,-z'
'x,-y+1/2,z'
loop_
_atom_site_label
_atom_site_fract_x
_atom_site_fract_y
_atom_site_fract_z
Ca1 0.030 0.250 0.136
Ca2 0.179 0.060 0.662
Hg1 0.119 0.750 0.444
```


| no. | ΔE_f (eV/atom) | E (eV for the cell shown) |
| --- | --- | --- |
| 1 | -0.87 | -210.18 |
| 2 | -1.98 | -52.58 |
| 3 | -0.30 | -30.05 |